Compound: MgCu2Ni4O8
Source: the Materials Project
Functional: PBE+U
Structure: optimized geometry

* total DFT energy (no corrections): -67.353 eV/f.u.
* offset from the most stable computed form: 435 meV/atom
* SG: F-43m (216)
* V: 170.86 Å³/cell
* energy with MP2020 corrections: -0.2034 hartree per atom
* magnetic moment: 4.036 Bohr magnetons per cell
* energy of formation: -0.70 eV per atom

Cell: 6.2294 6.2297 6.2275 Å, 60.01 90.00 120.02°
Fractional positions:
Mg (0.7499, 0.5000, 0.7500)
Cu (0.9998, 0.9999, 0.0001)
Cu (0.2501, 0.5001, 0.2500)
Ni (0.6068, 0.2137, 0.1794)
Ni (0.6068, 0.2137, 0.6069)
Ni (0.6069, 0.7863, 0.6069)
Ni (0.1794, 0.7862, 0.6069)
O (0.8528, 0.2352, 0.3824)
O (0.3823, 0.2351, 0.3824)
O (0.8723, 0.2553, 0.8724)
O (0.8724, 0.7449, 0.3829)
O (0.3830, 0.2552, 0.8724)
O (0.8724, 0.7449, 0.8722)
O (0.3824, 0.7648, 0.3823)
O (0.3824, 0.7648, 0.8529)